Material: Ni2W3N
Method: DFT, PBE
State: relaxed

Geometry as extended XYZ:
```
24
Lattice="6.6799 0.0000 0.0000 0.0000 6.6799 0.0000 0.0000 0.0000 6.6799" Properties=species:S:1:pos:R:3 pbc="T T T"
Ni 0.4423 0.4423 0.4423
Ni 1.2277 5.4522 2.1122
Ni 2.1122 1.2277 5.4522
Ni 2.8977 6.2376 3.7822
Ni 3.7822 2.8977 6.2376
Ni 4.5676 4.5676 4.5676
Ni 5.4522 2.1122 1.2277
Ni 6.2376 3.7822 2.8977
W 0.3316 5.8449 4.6783
W 0.8350 1.3384 3.0084
W 1.3384 3.0084 0.8350
W 2.0015 3.6715 4.1749
W 2.5049 5.3415 6.3483
W 3.0084 0.8350 1.3384
W 3.6715 4.1749 2.0015
W 4.1749 2.0015 3.6715
W 4.6783 0.3316 5.8449
W 5.3415 6.3483 2.5049
W 5.8449 4.6783 0.3316
W 6.3483 2.5049 5.3415
N 0.8350 4.1749 5.8449
N 2.5049 2.5049 2.5049
N 4.1749 5.8449 0.8350
N 5.8449 0.8350 4.1749
```

Computed properties:
Uncorrected energy in hartree per atom: -0.36703
ΔE_f in eV/atom: -0.2523


Material: ZnNi5N4
Method: DFT, PBE
State: relaxed

Geometry as extended XYZ:
```
20
Lattice="5.5556 0.0000 0.0000 0.0000 9.0536 0.0000 0.0000 0.0000 4.3586" Properties=species:S:1:pos:R:3 pbc="T T T"
Zn 1.3889 2.2634 1.0249
Zn 4.1667 6.7902 3.3337
Ni 0.1015 0.9112 3.6210
Ni 0.1015 3.6156 3.6210
Ni 1.3889 6.7902 3.2472
Ni 2.6763 0.9112 3.6210
Ni 2.6763 3.6156 3.6210
Ni 2.8793 5.4380 0.7376
Ni 2.8793 8.1424 0.7376
Ni 4.1667 2.2634 1.1114
Ni 5.4541 5.4380 0.7376
Ni 5.4541 8.1424 0.7376
N 0.0263 6.7902 1.9589
N 1.3889 4.9767 3.9663
N 1.3889 8.6037 3.9663
N 2.7515 6.7902 1.9589
N 2.8041 2.2634 2.3997
N 4.1667 0.4499 0.3923
N 4.1667 4.0769 0.3923
N 5.5293 2.2634 2.3997
```

Computed properties:
Uncorrected energy in hartree per atom: -0.22245
ΔE_f in eV/atom: 0.1532


Material: ZrNi4N4
Method: DFT, PBE
State: relaxed

Geometry as extended XYZ:
```
18
Lattice="5.4624 0.0000 0.0000 -2.5920 4.9742 0.0000 -1.1963 -1.7313 7.1498" Properties=species:S:1:pos:R:3 pbc="T T T"
Zr -0.3622 1.9196 1.3856
Zr 2.0363 1.3232 5.7642
Ni -2.3348 4.0050 1.5463
Ni 0.6776 -0.7842 3.9556
Ni -0.6563 1.7523 4.4090
Ni 0.7843 -1.1451 6.5445
Ni 0.8898 4.3879 0.6053
Ni 2.3303 1.4905 2.7408
Ni 0.9965 4.0270 3.1942
Ni 4.0089 -0.7622 5.6035
N -1.5658 2.6404 2.9421
N -0.9653 3.9379 0.2099
N 0.7970 0.4795 2.5974
N 0.1829 0.2279 5.4702
N 1.4912 3.0149 1.6796
N 0.8770 2.7633 4.5524
N 2.6394 -0.6951 6.9399
N 3.2399 0.6024 4.2077
```

Computed properties:
Uncorrected energy in hartree per atom: -0.26768
ΔE_f in eV/atom: -0.2206


Material: SnP2N2O6
Method: DFT, PBE
State: relaxed

Geometry as extended XYZ:
```
22
Lattice="5.0527 0.0000 0.0000 0.0675 10.3238 0.0000 2.1538 3.2958 10.4413" Properties=species:S:1:pos:R:3 pbc="T T T"
Sn 1.0013 4.3035 1.9032
Sn 6.2726 9.3161 8.5381
P 3.4360 11.1663 10.2597
P 3.2995 3.8377 4.3123
P 3.9744 9.7818 6.1290
P 3.8380 2.4533 0.1816
N 1.2726 10.6174 3.2146
N 3.4652 6.0836 7.7305
N 3.8088 7.5359 2.7108
N 6.0013 3.0022 7.2267
O 2.3172 11.0802 9.2286
O 1.1301 8.6970 1.0200
O 2.0365 3.3705 3.5973
O 2.9746 9.0668 6.9973
O 3.4692 3.6208 5.7537
O 2.6418 3.3249 0.4521
O 4.6322 10.2947 9.9892
O 3.8048 9.9987 4.6876
O 4.2993 4.5528 3.4440
O 5.2375 10.2491 6.8440
O 6.1438 4.9226 9.4212
O 4.9567 2.5394 1.2127
```

Computed properties:
Uncorrected energy in hartree per atom: -0.21843
ΔE_f in eV/atom: -0.7550


Material: Sr3P6N8O6
Method: DFT, PBE
State: relaxed

Geometry as extended XYZ:
```
23
Lattice="7.3639 0.0000 0.0000 -3.6820 6.3774 0.0000 0.0000 0.0000 6.1157" Properties=species:S:1:pos:R:3 pbc="T T T"
Sr 0.0000 0.0000 0.0000
Sr 0.0000 4.2516 0.7151
Sr 3.6820 2.1258 5.4006
P -0.1693 2.5392 3.7294
P -1.3983 5.2544 3.7294
P 2.1143 1.4163 2.3862
P 1.5676 4.9611 3.7294
P 5.0803 1.1229 2.3862
P 3.8513 3.8382 2.3862
N -1.0170 2.1095 2.4201
N -1.3466 6.2034 2.4201
N 1.3184 1.9355 3.6956
N 0.0000 4.2516 3.5464
N 3.6820 2.1258 2.5693
N 2.3636 4.4419 2.4201
N 5.0286 0.1740 3.6956
N 4.6990 4.2679 3.6956
O -0.7866 2.3158 5.1236
O -1.2831 5.9006 5.1236
O 1.6123 1.8391 0.9921
O 2.0697 4.5383 5.1236
O 4.9651 0.4767 0.9921
O 4.4685 4.0615 0.9921
```

Computed properties:
Uncorrected energy in hartree per atom: -0.27202
ΔE_f in eV/atom: -1.7582


Material: SrP4N2O12
Method: DFT, PBE
State: relaxed

Geometry as extended XYZ:
```
19
Lattice="-3.8064 3.8064 5.1406 3.8064 -3.8064 5.1406 3.8064 3.8064 -5.1406" Properties=species:S:1:pos:R:3 pbc="T T T"
Sr 0.0000 0.0000 0.0000
P 2.6306 1.6528 -2.2255
P 2.1536 -1.1758 7.3661
P 1.1758 2.1536 2.9150
P 1.6528 4.9822 2.2255
N 3.8064 0.0000 0.8014
N 3.8064 0.0000 4.3392
O 4.2086 1.4900 -1.9188
O 2.4325 2.9069 -3.0263
O 1.9201 1.4509 -0.9198
O 1.3739 0.8996 2.1143
O 2.3555 -1.8863 6.0603
O 4.7060 2.4325 3.0263
O -0.4021 2.3164 3.2217
O 1.4900 3.4043 1.9188
O 1.8863 2.3555 4.2208
O 2.3164 0.4021 7.0594
O 1.4509 5.6928 0.9198
O -0.8996 1.3739 8.1669
```

Computed properties:
Uncorrected energy in hartree per atom: -0.23906
ΔE_f in eV/atom: -1.7080


Material: Th2PNO
Method: DFT, PBE
State: relaxed

Geometry as extended XYZ:
```
5
Lattice="4.0372 0.0000 0.0000 -2.0186 3.4963 0.0000 0.0000 0.0000 6.8642" Properties=species:S:1:pos:R:3 pbc="T T T"
Th 0.0000 0.0000 0.0000
Th 0.0000 2.3309 3.0698
P 2.0186 1.1654 5.0216
N 0.0000 0.0000 2.3664
O 0.0000 2.3309 0.6273
```

Computed properties:
Uncorrected energy in hartree per atom: -0.33166
ΔE_f in eV/atom: -2.4572


Material: Th2P3NO12
Method: DFT, PBE
State: relaxed

Geometry as extended XYZ:
```
36
Lattice="8.7636 -3.4848 0.0000 8.7636 3.4848 0.0000 -1.5794 0.0000 8.1301" Properties=species:S:1:pos:R:3 pbc="T T T"
Th 2.5755 0.6705 0.2819
Th 1.7858 -0.6705 4.3470
Th 14.1620 0.6705 3.7832
Th 13.3723 -0.6705 7.8482
P 8.3688 2.8894 2.0325
P 4.9568 0.6694 2.5509
P 4.1671 -0.6694 6.6160
P 11.7808 0.6694 1.5142
P 10.9910 -0.6694 5.5792
P 7.5791 -2.8894 6.0976
N 7.5791 0.5734 6.0976
N 8.3688 -0.5734 2.0325
O 0.9080 0.2690 1.9976
O 5.3757 1.8143 3.4721
O 0.1182 -0.2690 6.0626
O 5.0245 1.1143 1.0453
O 3.4344 0.3424 2.6971
O 8.1829 2.0774 0.7313
O 8.5547 2.0774 3.3338
O 4.9764 0.6221 6.8308
O 2.6446 -0.3424 6.7622
O 11.3619 1.8143 0.5930
O 5.7661 -0.6221 2.7658
O 4.2348 -1.1143 5.1104
O 11.7130 1.1143 3.0197
O 10.1818 0.6221 5.3644
O 4.5859 -1.8143 7.5372
O 13.3032 0.3424 1.3680
O 10.9715 -0.6221 1.2993
O 7.3932 -2.0774 4.7963
O 7.7650 -2.0774 7.3988
O 12.5135 -0.3424 5.4330
O 10.9233 -1.1143 7.0848
O 15.8296 0.2690 2.0675
O 10.5722 -1.8143 4.6580
O 15.0399 -0.2690 6.1326
```

Computed properties:
Uncorrected energy in hartree per atom: -0.28659
ΔE_f in eV/atom: -2.7687


Material: TiP2NO8
Method: DFT, PBE
State: relaxed

Geometry as extended XYZ:
```
24
Lattice="5.1755 0.0000 0.0000 0.0000 6.3693 0.0000 -1.3646 0.0000 11.3676" Properties=species:S:1:pos:R:3 pbc="T T T"
Ti 0.6829 1.5923 4.1360
Ti 3.1280 4.7770 7.2316
P 0.4920 4.7770 5.0286
P 0.6072 4.7770 9.4820
P 3.2037 1.5923 1.8856
P 3.3189 1.5923 6.3390
N 0.2479 4.7770 1.3821
N 3.5630 1.5923 9.9855
O -0.4515 1.5923 5.7082
O -0.4321 4.7770 8.3564
O 0.6591 3.5337 4.1322
O 0.6591 6.0203 4.1322
O 0.3521 3.5886 10.4513
O 0.3521 5.9654 10.4513
O 1.7786 1.5923 2.4481
O 1.5602 4.7770 6.1427
O 2.2507 1.5923 5.2249
O 2.0323 4.7770 8.9195
O 3.4588 0.4039 0.9163
O 3.4588 2.7807 0.9163
O 3.1518 0.3490 7.2354
O 3.1518 2.8356 7.2354
O 4.2430 1.5923 3.0112
O 4.2624 4.7770 5.6595
```

Computed properties:
Uncorrected energy in hartree per atom: -0.25706
ΔE_f in eV/atom: -1.8994


Material: Ti3P4N2O18
Method: DFT, PBE
State: relaxed

Geometry as extended XYZ:
```
54
Lattice="5.4150 0.0000 0.0000 0.0000 17.0132 0.0000 -0.1450 0.0000 8.5183" Properties=species:S:1:pos:R:3 pbc="T T T"
Ti 0.1559 0.0000 0.8379
Ti 1.3022 11.3442 6.3831
Ti 2.3677 5.6856 3.3861
Ti 2.9023 14.1922 5.1322
Ti 3.9677 2.8376 2.1352
Ti 5.1141 8.5066 7.6805
P 0.2430 12.8458 3.6270
P 0.2836 14.4175 7.0548
P 2.3180 8.2500 5.7444
P 2.4985 9.8643 0.6443
P 2.7715 1.3577 7.8740
P 2.9520 16.7566 2.7740
P 4.9864 5.9109 1.4635
P 5.0270 4.3392 4.8913
N 0.2955 0.6703 4.9143
N 2.4132 5.0202 7.4076
N 2.8568 13.5268 1.1108
N 4.9744 9.1769 3.6040
O -0.0541 10.1073 6.9752
O 0.1217 15.1304 8.3911
O 0.3202 11.7111 4.6789
O 0.4009 12.2825 2.1981
O 0.4012 12.8812 7.2220
O 0.8074 6.1968 2.3519
O 0.9757 5.0346 4.7689
O 1.1340 7.7288 6.6177
O 1.3028 8.8918 0.5488
O 1.3742 13.8751 3.8369
O 1.4585 0.5775 8.0649
O 1.5423 14.9580 6.3084
O 1.6470 16.4648 1.9903
O 2.2076 9.7887 5.5669
O 2.2929 7.5336 4.4079
O 2.2782 10.9623 8.0737
O 2.5464 10.4933 2.0500
O 2.6119 4.0602 2.7208
O 2.6580 12.5667 5.7975
O 2.7235 1.9868 6.4683
O 2.9918 2.4557 0.4446
O 2.9771 16.0402 4.1104
O 3.0623 1.2821 2.9514
O 3.6230 7.9582 6.5280
O 3.7277 6.4514 2.2099
O 3.8114 9.0841 0.4535
O 3.8958 5.3685 4.6815
O 3.9671 0.3852 7.9696
O 4.1359 16.2354 1.9006
O 4.2942 13.5412 3.7495
O 4.4625 14.7034 6.1665
O 4.8687 4.3747 1.2963
O 4.8690 3.7759 6.3203
O 4.9497 3.2045 3.8395
O 5.1483 6.6238 0.1272
O 5.3240 1.6007 1.5431
```

Computed properties:
Uncorrected energy in hartree per atom: -0.26477
ΔE_f in eV/atom: -2.0672


Material: Ti3P4N2O16
Method: DFT, PBE
State: relaxed

Geometry as extended XYZ:
```
50
Lattice="5.0779 0.0000 0.0000 0.0000 17.8435 0.0000 -0.5507 0.0000 8.7765" Properties=species:S:1:pos:R:3 pbc="T T T"
Ti 0.2115 0.0000 0.5274
Ti 0.9306 5.4820 6.5696
Ti 1.9505 10.9767 3.8041
Ti 2.5767 2.0550 4.9724
Ti 3.5966 14.4037 2.2070
Ti 4.3157 8.9218 8.2491
P 0.0010 3.8951 3.7635
P 0.1364 2.3343 7.1487
P 1.7922 8.6285 6.0301
P 2.2792 7.0759 0.6992
P 2.2480 15.9977 8.0774
P 2.7350 17.5502 2.7464
P 4.3908 11.2561 1.6278
P 4.5262 12.8169 5.0130
N 0.0967 16.6659 5.1554
N 1.7481 12.1272 7.7490
N 2.7791 3.2055 1.0276
N 4.4305 7.7442 3.6212
O 0.1212 4.3831 2.3841
O -0.0856 1.6740 8.5477
O 0.2702 4.9932 4.9165
O 0.4687 10.8370 2.5256
O 0.1988 3.8867 7.3403
O 0.5976 9.1409 6.8336
O 1.1317 8.1372 0.4940
O 0.8865 12.2593 4.6553
O 1.0433 2.7689 4.1691
O 0.9206 16.7313 8.5138
O 1.3769 17.8321 2.1109
O 1.5170 1.9009 6.6231
O 1.4370 6.0641 8.2490
O 1.6053 7.0880 5.7993
O 1.7893 9.3290 4.6330
O 2.3454 6.4620 2.0331
O 2.1818 15.3837 6.7434
O 2.7379 0.4073 4.1436
O 2.9219 16.0098 2.9772
O 3.0902 14.9859 0.5275
O 3.0102 10.8227 2.1534
O 3.1504 8.9104 6.6657
O 3.6066 7.8095 0.2627
O 3.4839 11.6906 4.6074
O 3.6407 3.3376 4.1212
O 3.3955 17.0590 8.2825
O 3.9296 0.2191 1.9429
O 4.3284 12.8085 1.4362
O 4.0585 1.9152 6.2510
O 4.2570 13.9149 3.8600
O 4.6128 10.5958 0.2288
O 4.4060 13.3048 6.3924
```

Computed properties:
Uncorrected energy in hartree per atom: -0.27193
ΔE_f in eV/atom: -2.1920